(1)
The following is a PBE calculation of a geometry-optimized Ca2TbSbO6 structure, from Materials Project.

The space group is Fm-3m (No. 225) and the conventional cell measures 8.3413, 8.3413 and 8.3413 Å, with angles of 90.00, 90.00 and 90.00 degrees. The inequivalent atoms are Ca at (0.2500, 0.2500, 0.2500), Tb at (0.0000, 0.0000, 0.0000), Sb at (0.0000, 0.0000, 0.5000) and O at (0.0000, 0.0000, 0.2630).

As for the calculated formation energy: -2.9195 eV per atom.

---

(2)
The following is a PBE calculation of a geometry-optimized CaScO3 structure, from Materials Project.

The space group is Pm-3m (No. 221) and the conventional cell measures 4.0847, 4.0847 and 4.0847 Å, with angles of 90.00, 90.00 and 90.00 degrees. The inequivalent atoms are Ca at (0.0000, 0.0000, 0.0000), Sc at (0.5000, 0.5000, 0.5000) and O at (0.0000, 0.5000, 0.5000).

As for the calculated formation energy: -3.0701 eV per atom.

---

(3)
The following is a PBE calculation of a geometry-optimized Ca3Sc2Si3O12 structure, from Materials Project.

The space group is Ia-3d (No. 230) and the conventional cell measures 12.3673, 12.3673 and 12.3673 Å, with angles of 90.00, 90.00 and 90.00 degrees. The inequivalent atoms are Ca at (0.0000, 0.2500, 0.1250), Sc at (0.0000, 0.0000, 0.0000), Si at (0.0000, 0.2500, 0.3750) and O at (0.0400, 0.0498, 0.6585).

As for the calculated formation energy: -3.5968 eV per atom.

---

(4)
The following is a PBE calculation of a geometry-optimized CaSeO4 structure, from Materials Project.

The space group is Cmce (No. 64) and the conventional cell measures 7.3329, 14.7260 and 6.4819 Å, with angles of 90.00, 90.00 and 90.00 degrees. The inequivalent atoms are Ca at (0.0000, 0.1247, 0.1199), Se at (0.0000, 0.1233, 0.6153), O at (0.0000, 0.0399, 0.7904), O at (0.0000, 0.2185, 0.7566) and O at (0.1779, 0.1193, 0.4544).

As for the calculated formation energy: -2.1134 eV per atom.

---

(5)
The following is a PBE calculation of a geometry-optimized CaSeO3 structure, from Materials Project.

The space group is Pnma (No. 62) and the conventional cell measures 6.4921, 8.4465 and 5.4607 Å, with angles of 90.00, 90.00 and 90.00 degrees. The inequivalent atoms are Ca at (0.0000, 0.0000, 0.0000), Se at (0.0256, 0.2500, 0.4822), O at (0.0728, 0.2500, 0.7951) and O at (0.1705, 0.0919, 0.3711).

As for the calculated formation energy: -2.2950 eV per atom.